The following is a DFT calculation (PBE-GGA) of crystalline Ba4SiP4 at its relaxed geometry.

## Properties
Symmetry: P-43n (218)
Formation enthalpy at 0 K, eV per atom: -0.9708
Final energy, eV/atom: -4.832

CIF file:
```
data_Ba4SiP4
_space_group_name_H-M_alt 'P 1'
_space_group_IT_number 1
_cell_length_a 13.1353
_cell_length_b 13.1353
_cell_length_c 13.1353
_cell_angle_alpha 90.00
_cell_angle_beta 90.00
_cell_angle_gamma 90.00
loop_
_space_group_symop_operation_xyz
'x,y,z'
loop_
_atom_site_label
_atom_site_fract_x
_atom_site_fract_y
_atom_site_fract_z
Ba1 0.0934 0.1328 0.6458
Ba2 0.0934 0.8672 0.3542
Ba3 0.1328 0.3542 0.9066
Ba4 0.1328 0.6458 0.0934
Ba5 0.1459 0.1459 0.1459
Ba6 0.1458 0.3672 0.4066
Ba7 0.1458 0.6328 0.5934
Ba8 0.1459 0.8541 0.8541
Ba9 0.3542 0.0934 0.8672
Ba10 0.3541 0.3541 0.6459
Ba11 0.3541 0.6459 0.3541
Ba12 0.3542 0.9066 0.1328
Ba13 0.3672 0.4066 0.1458
Ba14 0.3672 0.5934 0.8542
Ba15 0.4066 0.1458 0.3672
Ba16 0.4066 0.8542 0.6328
Ba17 0.5934 0.1458 0.6328
Ba18 0.5934 0.8542 0.3672
Ba19 0.6328 0.4066 0.8542
Ba20 0.6328 0.5934 0.1458
Ba21 0.6458 0.0934 0.1328
Ba22 0.6459 0.3541 0.3541
Ba23 0.6459 0.6459 0.6459
Ba24 0.6458 0.9066 0.8672
Ba25 0.8541 0.1459 0.8541
Ba26 0.8542 0.3672 0.5934
Ba27 0.8542 0.6328 0.4066
Ba28 0.8541 0.8541 0.1459
Ba29 0.8672 0.3542 0.0934
Ba30 0.8672 0.6458 0.9066
Ba31 0.9066 0.1328 0.3542
Ba32 0.9066 0.8672 0.6458
Si1 0.0000 0.0000 0.0000
Si2 0.0000 0.5000 0.2500
Si3 0.0000 0.5000 0.7500
Si4 0.2500 0.0000 0.5000
Si5 0.5000 0.2500 0.0000
Si6 0.5000 0.5000 0.5000
Si7 0.5000 0.7500 0.0000
Si8 0.7500 0.0000 0.5000
P1 0.1015 0.1015 0.8985
P2 0.1008 0.3914 0.6540
P3 0.1008 0.6086 0.3460
P4 0.1015 0.8985 0.1015
P5 0.1086 0.3992 0.1540
P6 0.1086 0.6008 0.8460
P7 0.1540 0.1086 0.3992
P8 0.1540 0.8914 0.6008
P9 0.3460 0.1008 0.6086
P10 0.3460 0.8992 0.3914
P11 0.3914 0.3460 0.8992
P12 0.3914 0.6540 0.1008
P13 0.3992 0.1540 0.1086
P14 0.3985 0.3985 0.3985
P15 0.3985 0.6015 0.6015
P16 0.3992 0.8460 0.8914
P17 0.6008 0.1540 0.8914
P18 0.6015 0.3985 0.6015
P19 0.6015 0.6015 0.3985
P20 0.6008 0.8460 0.1086
P21 0.6086 0.3460 0.1008
P22 0.6086 0.6540 0.8992
P23 0.6540 0.1008 0.3914
P24 0.6540 0.8992 0.6086
P25 0.8460 0.1086 0.6008
P26 0.8460 0.8914 0.3992
P27 0.8914 0.3992 0.8460
P28 0.8914 0.6008 0.1540
P29 0.8985 0.1015 0.1015
P30 0.8992 0.3914 0.3460
P31 0.8992 0.6086 0.6540
P32 0.8985 0.8985 0.8985
```